Here is a relaxed Na3Y2Sn2P5SO24 crystal from the Materials Project database. Energies are from GGA-PBE.

abc: 8.981 8.991 23.316
angles: 89.94 89.84 60.28
Sites, in units of the cell vectors:
Na (0.000, 0.000, 0.000)
Na (0.002, 0.997, 0.501)
Na (0.032, 0.660, 0.585)
Na (0.324, 0.340, 0.169)
Na (0.328, 0.326, 0.669)
Na (0.631, 0.995, 0.753)
Na (0.656, 0.673, 0.335)
Na (0.662, 0.031, 0.085)
Na (0.669, 0.646, 0.836)
Y (0.004, 0.986, 0.147)
Y (0.317, 0.326, 0.821)
Y (0.320, 0.326, 0.019)
Y (0.327, 0.322, 0.320)
Y (0.329, 0.313, 0.519)
Y (0.998, 0.001, 0.647)
Sn (0.003, 0.973, 0.350)
Sn (0.656, 0.662, 0.188)
Sn (0.656, 0.665, 0.483)
Sn (0.657, 0.654, 0.688)
Sn (0.667, 0.654, 0.984)
Sn (0.989, 0.998, 0.850)
P (0.015, 0.322, 0.919)
P (0.018, 0.631, 0.420)
P (0.296, 0.981, 0.753)
P (0.299, 0.694, 0.251)
P (0.324, 0.014, 0.417)
P (0.376, 0.653, 0.584)
P (0.380, 0.939, 0.083)
P (0.639, 0.013, 0.918)
P (0.658, 0.375, 0.086)
P (0.658, 0.943, 0.588)
P (0.700, 0.291, 0.752)
P (0.702, 0.982, 0.250)
P (0.939, 0.380, 0.584)
P (0.945, 0.654, 0.087)
P (0.987, 0.700, 0.750)
S (0.326, 0.636, 0.918)
S (0.640, 0.321, 0.418)
S (0.983, 0.291, 0.253)
O (0.001, 0.157, 0.912)
O (0.005, 0.190, 0.201)
O (0.008, 0.779, 0.694)
O (0.092, 0.356, 0.865)
O (0.106, 0.519, 0.368)
O (0.115, 0.372, 0.580)
O (0.122, 0.556, 0.476)
O (0.123, 0.297, 0.972)
O (0.123, 0.497, 0.083)
O (0.135, 0.313, 0.258)
O (0.141, 0.522, 0.758)
O (0.158, 0.999, 0.410)
O (0.171, 0.808, 0.912)
O (0.191, 0.007, 0.700)
O (0.193, 0.781, 0.198)
O (0.196, 0.813, 0.586)
O (0.201, 0.960, 0.085)
O (0.210, 0.955, 0.808)
O (0.219, 0.807, 0.307)
O (0.296, 0.120, 0.472)
O (0.299, 0.557, 0.970)
O (0.318, 0.516, 0.258)
O (0.329, 0.133, 0.759)
O (0.354, 0.529, 0.867)
O (0.355, 0.494, 0.581)
O (0.358, 0.093, 0.365)
O (0.373, 0.115, 0.079)
O (0.462, 0.674, 0.529)
O (0.466, 0.832, 0.029)
O (0.478, 0.817, 0.749)
O (0.480, 0.634, 0.640)
O (0.480, 0.655, 0.924)
O (0.480, 0.679, 0.248)
O (0.483, 0.829, 0.424)
O (0.489, 0.860, 0.138)
O (0.499, 0.352, 0.082)
O (0.500, 0.120, 0.583)
O (0.523, 0.137, 0.258)
O (0.523, 0.306, 0.760)
O (0.531, 0.096, 0.864)
O (0.532, 0.350, 0.367)
O (0.559, 0.122, 0.973)
O (0.562, 0.293, 0.470)
O (0.637, 0.862, 0.644)
O (0.638, 0.480, 0.141)
O (0.657, 0.831, 0.924)
O (0.659, 0.476, 0.424)
O (0.679, 0.459, 0.031)
O (0.685, 0.471, 0.747)
O (0.685, 0.830, 0.534)
O (0.693, 0.812, 0.248)
O (0.781, 0.005, 0.195)
O (0.781, 0.179, 0.700)
O (0.812, 0.211, 0.807)
O (0.813, 0.168, 0.410)
O (0.815, 0.693, 0.747)
O (0.818, 0.194, 0.088)
O (0.818, 0.959, 0.304)
O (0.824, 0.989, 0.911)
O (0.825, 0.462, 0.250)
O (0.826, 0.951, 0.589)
O (0.830, 0.481, 0.925)
O (0.833, 0.466, 0.529)
O (0.835, 0.651, 0.425)
O (0.835, 0.683, 0.032)
O (0.858, 0.488, 0.639)
O (0.861, 0.631, 0.142)
O (0.952, 0.823, 0.090)
O (0.953, 0.823, 0.803)
O (0.959, 0.202, 0.585)
O (0.960, 0.207, 0.305)
O (0.994, 0.816, 0.413)

## Properties
- Magnetic moment: 0.000 μB/atom
- Energy: -7.013 eV per atom
- ΔE_f: -263.6 kJ per mole of atoms
- Crystal system: triclinic

***

Here is a relaxed NaYSnP2SO12 crystal from the Materials Project database. Energies are from GGA-PBE.

abc: 8.942 8.984 23.567
angles: 89.06 90.00 119.85
Sites, in units of the cell vectors:
O (0.552, 0.843, 0.472)
O (0.700, 0.526, 0.246)
O (0.962, 0.777, 0.802)
O (0.033, 0.193, 0.913)
O (0.149, 0.520, 0.578)
O (0.005, 0.199, 0.197)
O (0.625, 0.510, 0.638)
O (0.861, 0.532, 0.031)
P (0.304, 0.017, 0.250)
P (0.633, 0.954, 0.416)
O (0.822, 0.039, 0.805)
P (0.970, 0.350, 0.583)
P (0.988, 0.287, 0.249)
O (0.012, 0.802, 0.699)
O (0.457, 0.135, 0.532)
O (0.869, 0.340, 0.922)
S (0.711, 0.698, 0.250)
P (0.321, 0.954, 0.916)
S (0.654, 0.031, 0.083)
O (0.796, 0.991, 0.698)
O (0.194, 0.199, 0.697)
O (0.345, 0.468, 0.366)
O (0.790, 0.802, 0.199)
O (0.001, 0.197, 0.588)
O (0.160, 0.193, 0.413)
O (0.154, 0.971, 0.911)
O (0.123, 0.468, 0.866)
O (0.319, 0.466, 0.754)
Y (0.328, 0.670, 0.312)
O (0.528, 0.866, 0.364)
O (0.529, 0.864, 0.755)
Y (0.009, 0.004, 0.146)
O (0.551, 0.706, 0.972)
Y (0.343, 0.670, 0.812)
P (0.966, 0.621, 0.082)
O (0.827, 0.526, 0.746)
O (0.148, 0.444, 0.969)
O (0.536, 0.673, 0.256)
O (0.815, 0.777, 0.302)
O (0.137, 0.673, 0.756)
O (0.668, 0.530, 0.921)
O (0.814, 0.799, 0.588)
O (0.678, 0.135, 0.032)
O (0.129, 0.657, 0.365)
Sn (0.333, 0.668, 0.017)
O (0.483, 0.187, 0.244)
P (0.299, 0.287, 0.749)
O (0.484, 0.305, 0.745)
O (0.861, 0.324, 0.531)
O (0.488, 0.638, 0.578)
O (0.217, 0.039, 0.305)
Sn (0.000, 0.002, 0.350)
O (0.371, 0.520, 0.078)
O (0.334, 0.864, 0.255)
Y (0.994, 0.004, 0.646)
Na (0.341, 0.656, 0.666)
O (0.155, 0.706, 0.472)
O (0.463, 0.324, 0.031)
P (0.654, 0.621, 0.582)
O (0.671, 0.532, 0.531)
O (0.629, 0.110, 0.136)
O (0.147, 0.466, 0.254)
O (0.985, 0.799, 0.088)
O (0.528, 0.657, 0.865)
O (0.037, 0.853, 0.411)
Na (0.675, 0.322, 0.333)
O (0.817, 0.971, 0.411)
Y (0.661, 0.337, 0.979)
S (0.987, 0.698, 0.750)
O (0.196, 0.197, 0.088)
Sn (0.335, 0.668, 0.517)
O (0.480, 0.133, 0.921)
Na (0.648, 0.322, 0.833)
O (0.291, 0.843, 0.972)
O (0.885, 0.510, 0.138)
O (0.338, 0.866, 0.864)
P (0.380, 0.350, 0.083)
O (0.203, 0.006, 0.589)
O (0.652, 0.133, 0.421)
O (0.470, 0.340, 0.422)
P (0.637, 0.683, 0.917)
O (0.863, 0.530, 0.421)
S (0.321, 0.365, 0.417)
O (0.366, 0.860, 0.580)
O (0.488, 0.372, 0.138)
S (0.044, 0.365, 0.917)
O (0.816, 0.853, 0.911)
Y (0.676, 0.337, 0.479)
Sn (0.002, 0.002, 0.850)
S (0.377, 0.031, 0.583)
O (0.493, 0.860, 0.080)
O (0.150, 0.638, 0.078)
O (0.295, 0.444, 0.469)
O (0.704, 0.187, 0.744)
O (0.884, 0.372, 0.638)
O (0.482, 0.110, 0.636)
Na (0.314, 0.656, 0.166)
O (0.821, 0.305, 0.245)
O (0.958, 0.176, 0.305)
P (0.713, 0.017, 0.750)
Sn (0.668, 0.335, 0.183)
O (0.218, 0.176, 0.805)
P (0.046, 0.683, 0.417)
Na (0.008, 0.989, 0.999)
O (0.803, 0.006, 0.089)
O (0.195, 0.991, 0.198)
Na (0.981, 0.989, 0.499)
Sn (0.667, 0.335, 0.683)

## Properties
- Magnetic moment: 0.000 μB/atom
- Energy: -6.959 eV per atom
- ΔE_f: -253.9 kJ per mole of atoms

***

Here is a relaxed Na3ZnSn3P5SO24 crystal from the Materials Project database. Energies are from GGA-PBE.

abc: 8.782 8.782 22.655
angles: 89.81 89.71 60.06
Sites, in units of the cell vectors:
Na (0.000, 0.000, 0.000)
Na (0.002, 0.992, 0.505)
Na (0.033, 0.655, 0.915)
Na (0.335, 0.327, 0.333)
Na (0.339, 0.310, 0.832)
Na (0.365, 0.991, 0.250)
Na (0.661, 0.648, 0.673)
Na (0.672, 0.635, 0.171)
Na (0.977, 0.670, 0.592)
Zn (0.002, 0.981, 0.858)
Zn (0.327, 0.322, 0.687)
Zn (0.348, 0.313, 0.191)
Sn (0.000, 0.982, 0.655)
Sn (0.001, 0.980, 0.358)
Sn (0.337, 0.311, 0.488)
Sn (0.345, 0.303, 0.988)
Sn (0.661, 0.646, 0.024)
Sn (0.664, 0.648, 0.523)
Sn (0.672, 0.644, 0.321)
Sn (0.673, 0.646, 0.821)
Sn (0.999, 0.987, 0.154)
P (0.001, 0.277, 0.256)
P (0.004, 0.682, 0.757)
P (0.042, 0.312, 0.589)
P (0.293, 0.687, 0.256)
P (0.335, 0.018, 0.091)
P (0.338, 0.606, 0.590)
P (0.374, 0.943, 0.421)
P (0.375, 0.646, 0.922)
P (0.626, 0.023, 0.591)
P (0.630, 0.313, 0.090)
P (0.667, 0.940, 0.922)
P (0.668, 0.353, 0.422)
P (0.712, 0.979, 0.256)
P (0.964, 0.351, 0.924)
P (0.965, 0.645, 0.423)
S (0.041, 0.609, 0.089)
S (0.298, 0.980, 0.757)
S (0.707, 0.276, 0.757)
O (0.018, 0.772, 0.813)
O (0.019, 0.148, 0.595)
O (0.022, 0.787, 0.092)
O (0.036, 0.158, 0.311)
O (0.116, 0.353, 0.642)
O (0.123, 0.500, 0.140)
O (0.141, 0.535, 0.032)
O (0.144, 0.348, 0.930)
O (0.148, 0.480, 0.428)
O (0.151, 0.277, 0.531)
O (0.165, 0.500, 0.751)
O (0.166, 0.292, 0.250)
O (0.167, 0.793, 0.594)
O (0.171, 0.992, 0.093)
O (0.184, 0.771, 0.313)
O (0.190, 0.961, 0.417)
O (0.191, 0.805, 0.917)
O (0.192, 0.000, 0.809)
O (0.214, 0.811, 0.201)
O (0.221, 0.950, 0.701)
O (0.295, 0.532, 0.534)
O (0.302, 0.132, 0.035)
O (0.313, 0.507, 0.250)
O (0.322, 0.131, 0.750)
O (0.354, 0.479, 0.928)
O (0.358, 0.096, 0.148)
O (0.359, 0.125, 0.426)
O (0.368, 0.498, 0.645)
O (0.455, 0.675, 0.978)
O (0.457, 0.827, 0.476)
O (0.474, 0.683, 0.261)
O (0.475, 0.812, 0.759)
O (0.482, 0.864, 0.363)
O (0.493, 0.608, 0.866)
O (0.498, 0.122, 0.927)
O (0.499, 0.631, 0.582)
O (0.502, 0.336, 0.428)
O (0.505, 0.834, 0.084)
O (0.517, 0.102, 0.645)
O (0.519, 0.345, 0.144)
O (0.527, 0.137, 0.253)
O (0.535, 0.292, 0.751)
O (0.553, 0.129, 0.532)
O (0.553, 0.286, 0.032)
O (0.631, 0.861, 0.867)
O (0.636, 0.465, 0.366)
O (0.657, 0.476, 0.084)
O (0.658, 0.830, 0.583)
O (0.690, 0.457, 0.760)
O (0.693, 0.810, 0.261)
O (0.701, 0.433, 0.478)
O (0.702, 0.821, 0.977)
O (0.795, 0.005, 0.312)
O (0.796, 0.173, 0.809)
O (0.816, 0.144, 0.092)
O (0.816, 0.204, 0.701)
O (0.818, 0.994, 0.594)
O (0.827, 0.942, 0.200)
O (0.829, 0.670, 0.758)
O (0.832, 0.458, 0.261)
O (0.832, 0.955, 0.918)
O (0.834, 0.169, 0.417)
O (0.852, 0.437, 0.980)
O (0.857, 0.481, 0.581)
O (0.857, 0.675, 0.481)
O (0.862, 0.629, 0.083)
O (0.879, 0.616, 0.369)
O (0.888, 0.475, 0.869)
O (0.963, 0.199, 0.200)
O (0.972, 0.794, 0.699)
O (0.981, 0.813, 0.418)
O (0.985, 0.172, 0.917)

## Properties
- Magnetic moment: 0.000 μB/atom
- Energy: -6.477 eV per atom
- ΔE_f: -231.9 kJ per mole of atoms
- Crystal system: triclinic

***

Here is a relaxed Na2ZnSn3P4S2O24 crystal from the Materials Project database. Energies are from GGA-PBE.

abc: 8.717 8.721 22.855
angles: 89.80 89.75 60.04
Sites, in units of the cell vectors:
Na (0.000, 0.000, 0.000)
Na (0.000, 0.004, 0.498)
Na (0.328, 0.338, 0.833)
Na (0.329, 0.334, 0.328)
Na (0.662, 0.667, 0.665)
Na (0.667, 0.674, 0.161)
Zn (0.004, 0.004, 0.642)
Zn (0.661, 0.672, 0.819)
Zn (0.994, 0.005, 0.142)
Sn (0.321, 0.340, 0.976)
Sn (0.322, 0.343, 0.476)
Sn (0.323, 0.329, 0.180)
Sn (0.323, 0.345, 0.680)
Sn (0.662, 0.665, 0.514)
Sn (0.663, 0.677, 0.013)
Sn (0.667, 0.672, 0.310)
Sn (0.989, 0.011, 0.347)
Sn (0.995, 0.005, 0.851)
P (0.035, 0.336, 0.579)
P (0.035, 0.633, 0.079)
P (0.326, 0.042, 0.078)
P (0.326, 0.633, 0.579)
P (0.369, 0.962, 0.413)
P (0.374, 0.668, 0.911)
P (0.658, 0.965, 0.911)
P (0.661, 0.379, 0.412)
P (0.704, 0.006, 0.244)
P (0.950, 0.384, 0.911)
P (0.952, 0.675, 0.413)
P (0.993, 0.295, 0.244)
S (0.287, 0.712, 0.245)
S (0.290, 0.002, 0.744)
S (0.620, 0.338, 0.079)
S (0.622, 0.046, 0.579)
S (0.704, 0.297, 0.744)
S (0.990, 0.717, 0.744)
O (0.014, 0.175, 0.585)
O (0.016, 0.815, 0.085)
O (0.028, 0.790, 0.798)
O (0.032, 0.186, 0.302)
O (0.114, 0.375, 0.634)
O (0.116, 0.515, 0.135)
O (0.136, 0.507, 0.418)
O (0.138, 0.360, 0.917)
O (0.151, 0.304, 0.524)
O (0.151, 0.549, 0.024)
O (0.159, 0.320, 0.242)
O (0.159, 0.534, 0.741)
O (0.161, 0.028, 0.085)
O (0.161, 0.812, 0.585)
O (0.176, 0.041, 0.799)
O (0.181, 0.784, 0.301)
O (0.184, 0.837, 0.907)
O (0.185, 0.979, 0.406)
O (0.206, 0.980, 0.692)
O (0.212, 0.819, 0.193)
O (0.299, 0.157, 0.024)
O (0.299, 0.546, 0.524)
O (0.304, 0.170, 0.740)
O (0.308, 0.531, 0.241)
O (0.351, 0.503, 0.919)
O (0.354, 0.146, 0.419)
O (0.370, 0.512, 0.634)
O (0.372, 0.116, 0.134)
O (0.448, 0.705, 0.968)
O (0.448, 0.850, 0.469)
O (0.466, 0.847, 0.751)
O (0.467, 0.693, 0.253)
O (0.478, 0.637, 0.856)
O (0.483, 0.883, 0.357)
O (0.494, 0.360, 0.419)
O (0.495, 0.153, 0.919)
O (0.497, 0.647, 0.574)
O (0.498, 0.857, 0.073)
O (0.507, 0.374, 0.133)
O (0.508, 0.121, 0.633)
O (0.515, 0.177, 0.241)
O (0.521, 0.310, 0.740)
O (0.539, 0.311, 0.026)
O (0.541, 0.155, 0.526)
O (0.624, 0.495, 0.357)
O (0.625, 0.891, 0.856)
O (0.632, 0.503, 0.074)
O (0.633, 0.869, 0.574)
O (0.679, 0.841, 0.252)
O (0.681, 0.474, 0.751)
O (0.697, 0.455, 0.468)
O (0.698, 0.855, 0.968)
O (0.777, 0.038, 0.302)
O (0.778, 0.186, 0.798)
O (0.793, 0.181, 0.084)
O (0.795, 0.029, 0.585)
O (0.810, 0.212, 0.692)
O (0.817, 0.971, 0.191)
O (0.825, 0.482, 0.252)
O (0.827, 0.984, 0.906)
O (0.828, 0.194, 0.407)
O (0.836, 0.693, 0.751)
O (0.839, 0.710, 0.469)
O (0.840, 0.456, 0.968)
O (0.852, 0.511, 0.574)
O (0.853, 0.640, 0.074)
O (0.876, 0.636, 0.358)
O (0.877, 0.489, 0.856)
O (0.962, 0.215, 0.191)
O (0.969, 0.821, 0.692)
O (0.971, 0.194, 0.907)
O (0.973, 0.840, 0.406)

## Properties
- Magnetic moment: 0.000 μB/atom
- Energy: -6.415 eV per atom
- ΔE_f: -222.0 kJ per mole of atoms
- Crystal system: triclinic

***

Question: Which value of magnetic moment does entry 4 give?
Answer: 0.000 μB/atom